A plane-wave DFT calculation with PBE was carried out for an optimized crystal structure of Lu3Al2.

Cell lengths 8.055, 8.055, 7.446 Å; angles 90.00, 90.00, 90.00 degrees
Element x y z (fractional)
Lu1 0.000 0.500 0.250
Lu2 0.000 0.500 0.750
Lu3 0.150 0.150 0.000
Lu4 0.203 0.203 0.500
Lu5 0.297 0.703 0.000
Lu6 0.350 0.650 0.500
Lu7 0.500 0.000 0.250
Lu8 0.500 0.000 0.750
Lu9 0.650 0.350 0.500
Lu10 0.703 0.297 0.000
Lu11 0.797 0.797 0.500
Lu12 0.850 0.850 0.000
Al1 0.120 0.880 0.302
Al2 0.120 0.880 0.698
Al3 0.380 0.380 0.198
Al4 0.380 0.380 0.802
Al5 0.620 0.620 0.198
Al6 0.620 0.620 0.802
Al7 0.880 0.120 0.302
Al8 0.880 0.120 0.698

Output
The crystal system is tetragonal. Its symmetry is P4_2/mnm. The formation energy is -0.327 eV/atom. The volume comes out at 24.16 Å³/atom.